VASP calculation (PBE-GGA) on CsBPbI2F4 after structural relaxation.

Values from the calculation:
The value obtained for the formation energy is -2.37 eV/atom.

a b c (Å): 6.1322 6.1322 7.0054
angles (deg): 89.20 89.20 90.59
Positions (direct):
Cs: 0.4848 0.5152 0.0000
B: 0.0119 0.9881 0.0000
Pb: 0.0051 0.9949 0.5000
I: 0.5074 0.0042 0.3808
I: 0.9958 0.4926 0.6192
F: 0.0143 0.8010 0.1211
F: 0.1990 0.9857 0.8789
F: 0.0146 0.1775 0.1152
F: 0.8225 0.9854 0.8848

---

VASP calculation (PBE-GGA) on CsB3PbF12 after structural relaxation.

Values from the calculation:
The calculation puts the largest piezoelectric modulus at 0.32 C/m2. The value obtained for the formation energy is -3.14 eV/atom.

a b c (Å): 6.8918 6.8918 6.8653
angles (deg): 89.17 89.17 94.56
Positions (direct):
Cs: 0.5215 0.5215 0.4093
B: 0.9918 0.9918 0.4878
B: 0.4935 0.0228 0.0203
B: 0.0228 0.4935 0.0203
Pb: 0.9515 0.9515 0.9349
F: 0.1628 0.9364 0.5788
F: 0.9364 0.1628 0.5788
F: 0.8412 0.8412 0.5190
F: 0.0276 0.0276 0.2859
F: 0.6176 0.8983 0.1242
F: 0.4768 0.1932 0.1223
F: 0.3076 0.9180 0.0018
F: 0.5805 0.0587 0.8342
F: 0.1932 0.4768 0.1223
F: 0.8983 0.6176 0.1242
F: 0.9180 0.3076 0.0018
F: 0.0587 0.5805 0.8342